(1)
SnH10C3NCl3 | PBE | optimized geometry

Values from the calculation:
As for the calculated total energy: -4.824 eV per atom. As for the space group: No. 36.

Cell and atoms, written as POSCAR:
```
SnH10C3NCl3
1.0
4.232 -4.989 0.000
4.232 4.989 0.000
0.000 0.000 12.839
Cl C H N Sn
6 6 20 2 2
Cartesian
0.212 0.000 5.799 Cl
8.252 0.000 12.219 Cl
6.315 1.813 9.742 Cl
6.315 -1.813 9.742 Cl
2.149 1.813 3.323 Cl
2.149 -1.813 3.323 Cl
3.567 -1.227 6.976 C
4.897 1.227 0.557 C
3.497 0.000 11.774 C
3.567 1.227 6.976 C
4.967 0.000 5.354 C
4.897 -1.227 0.557 C
5.832 1.178 1.124 H
4.422 -1.259 7.664 H
2.914 0.000 5.444 H
4.899 2.112 12.753 H
2.632 1.178 7.544 H
3.466 0.897 11.145 H
3.565 -2.112 6.333 H
2.660 0.000 12.480 H
4.042 1.259 1.245 H
5.550 0.000 11.863 H
4.998 -0.897 4.726 H
2.632 -1.178 7.544 H
5.803 0.000 6.061 H
4.422 1.259 7.664 H
4.899 -2.112 12.753 H
3.565 2.112 6.333 H
3.466 -0.897 11.145 H
4.998 0.897 4.726 H
4.042 -1.259 1.245 H
5.832 -1.178 1.124 H
4.772 0.000 12.552 N
3.692 0.000 6.133 N
8.090 0.000 9.696 Sn
0.374 0.000 3.277 Sn
```

---

(2)
SnH5CN2Cl3 | PBE | optimized geometry

Values from the calculation:
As for the calculated total energy: -4.896 eV per atom. As for the space group: No. 38.

Cell and atoms, written as POSCAR:
```
SnH5CN2Cl3
1.0
0.340 -2.730 5.378
5.083 -2.096 -1.386
2.112 4.745 2.275
H N Sn C Cl
5 2 1 1 3
Cartesian
2.270 4.380 2.080 H
4.337 -0.779 0.724 H
4.946 -2.422 0.694 H
5.062 -3.352 2.526 H
4.538 -2.387 3.892 H
4.695 -1.575 0.200 N
4.905 -3.261 3.522 N
3.388 0.833 3.601 Sn
4.850 -1.560 -1.099 C
3.282 2.050 0.833 Cl
2.260 -1.417 2.530 Cl
5.890 -0.080 2.979 Cl
```